No. 1
A plane-wave DFT calculation with PBE-GGA was carried out for Zr3Sb4Pt3 after structural relaxation.

a = 8.2189 Å, b = 8.2189 Å, c = 8.2189 Å
α = 109.47°, β = 109.47°, γ = 109.47°
Fractional positions:
1 Zr 0.6250 0.3750 0.2500
2 Zr 0.1250 0.7500 0.8750
3 Zr 0.8750 0.1250 0.7500
4 Zr 0.3750 0.2500 0.6250
5 Zr 0.7500 0.8750 0.1250
6 Zr 0.2500 0.6250 0.3750
7 Sb 0.1849 0.1849 0.1849
8 Sb 0.0000 0.8151 0.5000
9 Sb 0.5000 0.0000 0.8151
10 Sb 0.3151 0.5000 0.0000
11 Sb 0.6849 0.6849 0.6849
12 Sb 0.8151 0.5000 0.0000
13 Sb 0.5000 0.0000 0.3151
14 Sb 0.0000 0.3151 0.5000
15 Pt 0.1250 0.8750 0.2500
16 Pt 0.3750 0.6250 0.7500
17 Pt 0.2500 0.1250 0.8750
18 Pt 0.8750 0.2500 0.1250
19 Pt 0.6250 0.7500 0.3750
20 Pt 0.7500 0.3750 0.6250

Calculated values
Maximum piezoelectric response in C/m2: 1.10
Uncorrected energy in eV per cell: -136.7
ΔE_f in kcal/mol of atoms: -18.4
Space group: I-43d, No. 220

No. 2
A plane-wave DFT calculation with PBE-GGA was carried out for Sc2Pt after structural relaxation.

a = 4.5204 Å, b = 6.6243 Å, c = 8.2541 Å
α = 90.00°, β = 90.00°, γ = 90.00°
Fractional positions:
1 Sc 0.2500 0.9872 0.3261
2 Sc 0.7500 0.6481 0.4231
3 Sc 0.7500 0.1481 0.0769
4 Sc 0.2500 0.3519 0.5769
5 Sc 0.7500 0.5128 0.8261
6 Sc 0.7500 0.0128 0.6739
7 Sc 0.2500 0.4872 0.1739
8 Sc 0.2500 0.8519 0.9231
9 Pt 0.7500 0.2408 0.4027
10 Pt 0.2500 0.2592 0.9027
11 Pt 0.7500 0.7408 0.0973
12 Pt 0.2500 0.7592 0.5973

Calculated values
Uncorrected energy in eV per cell: -86.7
ΔE_f in kcal/mol of atoms: -22.5
Space group: Pnma, No. 62

No. 3
A plane-wave DFT calculation with PBE-GGA was carried out for Sc57Pt13 after structural relaxation.

a = 14.5017 Å, b = 14.5017 Å, c = 14.5017 Å
α = 90.00°, β = 90.00°, γ = 90.00°
Fractional positions:
1 Sc 0.0000 0.6257 0.0000
2 Sc 0.7915 0.6143 0.3224
3 Sc 0.3224 0.7915 0.6143
4 Sc 0.8891 0.8130 0.2972
5 Sc 0.0000 0.8234 0.1069
6 Sc 0.2972 0.8891 0.8130
7 Sc 0.7915 0.3857 0.3224
8 Sc 0.6732 0.3920 0.5000
9 Sc 0.5000 0.8594 0.5000
10 Sc 0.1870 0.7028 0.1109
11 Sc 0.5000 0.1406 0.5000
12 Sc 0.6143 0.6776 0.7915
13 Sc 0.2972 0.1109 0.1870
14 Sc 0.0000 0.0000 0.3743
15 Sc 0.5000 0.0000 0.2227
16 Sc 0.6776 0.2085 0.6143
17 Sc 0.8259 0.8986 0.5000
18 Sc 0.0000 0.0000 0.6257
19 Sc 0.6075 0.3727 0.0000
20 Sc 0.5000 0.8259 0.8986
21 Sc 0.6075 0.6273 0.0000
22 Sc 0.3920 0.5000 0.6732
23 Sc 0.3857 0.3224 0.2085
24 Sc 0.5000 0.1741 0.8986
25 Sc 0.8130 0.7028 0.8891
26 Sc 0.8891 0.8130 0.7028
27 Sc 0.5000 0.6732 0.6080
28 Sc 0.1069 0.0000 0.1766
29 Sc 0.2085 0.3857 0.6776
30 Sc 0.1109 0.8130 0.7028
31 Sc 0.8130 0.2972 0.8891
32 Sc 0.8931 0.0000 0.1766
33 Sc 0.0000 0.1766 0.8931
34 Sc 0.5000 0.1741 0.1014
35 Sc 0.1014 0.5000 0.8259
36 Sc 0.0000 0.6075 0.6273
37 Sc 0.7028 0.8891 0.8130
38 Sc 0.8891 0.1870 0.2972
39 Sc 0.5000 0.6732 0.3920
40 Sc 0.1109 0.1870 0.2972
41 Sc 0.8130 0.2972 0.1109
42 Sc 0.2085 0.6143 0.3224
43 Sc 0.3268 0.3920 0.5000
44 Sc 0.0000 0.6075 0.3727
45 Sc 0.3920 0.5000 0.3268
46 Sc 0.2972 0.8891 0.1870
47 Sc 0.0000 0.3925 0.3727
48 Sc 0.6273 0.0000 0.6075
49 Sc 0.6143 0.6776 0.2085
50 Sc 0.1109 0.8130 0.2972
51 Sc 0.5000 0.5000 0.8594
52 Sc 0.8234 0.8931 0.0000
53 Sc 0.6257 0.0000 0.0000
54 Sc 0.3727 0.0000 0.3925
55 Sc 0.8891 0.1870 0.7028
56 Sc 0.6080 0.5000 0.6732
57 Sc 0.1741 0.1014 0.5000
58 Sc 0.8234 0.1069 0.0000
59 Sc 0.5000 0.8259 0.1014
60 Sc 0.6143 0.3224 0.7915
61 Sc 0.0000 0.3925 0.6273
62 Sc 0.7028 0.1109 0.1870
63 Sc 0.2972 0.1109 0.8130
64 Sc 0.8931 0.0000 0.8234
65 Sc 0.2085 0.3857 0.3224
66 Sc 0.3268 0.6080 0.5000
67 Sc 0.3925 0.6273 0.0000
68 Sc 0.7028 0.1109 0.8130
69 Sc 0.7773 0.5000 0.0000
70 Sc 0.3224 0.2085 0.3857
71 Sc 0.8259 0.1014 0.5000
72 Sc 0.6080 0.5000 0.3268
73 Sc 0.5000 0.3268 0.3920
74 Sc 0.3857 0.3224 0.7915
75 Sc 0.8986 0.5000 0.8259
76 Sc 0.6776 0.7915 0.3857
77 Sc 0.1870 0.2972 0.1109
78 Sc 0.3727 0.0000 0.6075
79 Sc 0.1069 0.0000 0.8234
80 Sc 0.1870 0.7028 0.8891
81 Sc 0.6776 0.2085 0.3857
82 Sc 0.0000 0.1766 0.1069
83 Sc 0.8130 0.7028 0.1109
84 Sc 0.3857 0.6776 0.2085
85 Sc 0.3857 0.6776 0.7915
86 Sc 0.1766 0.1069 0.0000
87 Sc 0.1406 0.5000 0.5000
88 Sc 0.1014 0.5000 0.1741
89 Sc 0.7915 0.6143 0.6776
90 Sc 0.7028 0.8891 0.1870
91 Sc 0.0000 0.8234 0.8931
92 Sc 0.5000 0.3268 0.6080
93 Sc 0.7915 0.3857 0.6776
94 Sc 0.1741 0.8986 0.5000
95 Sc 0.1109 0.1870 0.7028
96 Sc 0.6732 0.6080 0.5000
97 Sc 0.3743 0.0000 0.0000
98 Sc 0.5000 0.0000 0.7773
99 Sc 0.6776 0.7915 0.6143
100 Sc 0.6143 0.3224 0.2085
101 Sc 0.3224 0.7915 0.3857
102 Sc 0.6273 0.0000 0.3925
103 Sc 0.3925 0.3727 0.0000
104 Sc 0.3224 0.2085 0.6143
105 Sc 0.1870 0.2972 0.8891
106 Sc 0.2227 0.5000 0.0000
107 Sc 0.0000 0.7773 0.5000
108 Sc 0.5000 0.5000 0.1406
109 Sc 0.1766 0.8931 0.0000
110 Sc 0.0000 0.3743 0.0000
111 Sc 0.0000 0.2227 0.5000
112 Sc 0.2085 0.6143 0.6776
113 Sc 0.8986 0.5000 0.1741
114 Sc 0.8594 0.5000 0.5000
115 Pt 0.5000 0.1674 0.3000
116 Pt 0.0000 0.6671 0.2015
117 Pt 0.6671 0.2015 0.0000
118 Pt 0.3000 0.5000 0.1674
119 Pt 0.7000 0.5000 0.8326
120 Pt 0.1674 0.7000 0.5000
121 Pt 0.0000 0.3329 0.2015
122 Pt 0.5000 0.5000 0.5000
123 Pt 0.5000 0.8326 0.7000
124 Pt 0.1674 0.3000 0.5000
125 Pt 0.3329 0.2015 0.0000
126 Pt 0.0000 0.0000 0.0000
127 Pt 0.2015 0.0000 0.6671
128 Pt 0.3000 0.5000 0.8326
129 Pt 0.2015 0.0000 0.3329
130 Pt 0.5000 0.8326 0.3000
131 Pt 0.5000 0.1674 0.7000
132 Pt 0.3329 0.7985 0.0000
133 Pt 0.7000 0.5000 0.1674
134 Pt 0.7985 0.0000 0.3329
135 Pt 0.7985 0.0000 0.6671
136 Pt 0.0000 0.3329 0.7985
137 Pt 0.0000 0.6671 0.7985
138 Pt 0.6671 0.7985 0.0000
139 Pt 0.8326 0.7000 0.5000
140 Pt 0.8326 0.3000 0.5000

Calculated values
Uncorrected energy in eV per cell: -959.4
ΔE_f in kcal/mol of atoms: -13.1
Space group: Pm-3, No. 200

No. 4
A plane-wave DFT calculation with PBE-GGA was carried out for ScPt3 after structural relaxation.

a = 4.0094 Å, b = 4.0094 Å, c = 4.0094 Å
α = 90.00°, β = 90.00°, γ = 90.00°
Fractional positions:
1 Pt 0.0000 0.5000 0.5000
2 Pt 0.5000 0.5000 0.0000
3 Pt 0.5000 0.0000 0.5000
4 Sc 0.0000 0.0000 0.0000

Calculated values
Uncorrected energy in eV per cell: -28.7
ΔE_f in kcal/mol of atoms: -24.0
Space group: Pm-3m, No. 221